## RbMg6TiO8 (GGA-PBE)

Data for a relaxed RbMg6TiO8 crystal. Values from VASP.

Results
* E: -5.80 eV/atom
* energy above the lowest structure with this stoichiometry: 0.000 eV per formula unit
* magnetization: 1.00 μB per formula unit
* MP2020-corrected energy: -6.15 eV/atom

Quantum ESPRESSO input file:
```
&SYSTEM
  ibrav = 0, nat = 16, ntyp = 4
/
ATOMIC_SPECIES
Rb 85.47 Rb.upf
Mg 24.30 Mg.upf
Ti 47.87 Ti.upf
O 16.00 O.upf
CELL_PARAMETERS angstrom
4.610 0.000 0.000
0.000 4.610 0.000
0.000 0.000 8.658
ATOMIC_POSITIONS crystal
Rb 0.000 0.000 0.000
Mg 0.000 0.500 0.245
Mg 0.000 0.500 0.755
Mg 0.500 0.000 0.245
Mg 0.500 0.000 0.755
Mg 0.500 0.500 0.000
Mg 0.500 0.500 0.500
Ti 0.000 0.000 0.500
O 0.000 0.000 0.284
O 0.000 0.000 0.716
O 0.000 0.500 0.000
O 0.000 0.500 0.500
O 0.500 0.000 0.000
O 0.500 0.000 0.500
O 0.500 0.500 0.254
O 0.500 0.500 0.746
```

***

## HgN2Cl2 (GGA-PBE)

Data for a relaxed HgN2Cl2 crystal. Values from VASP.

Results
* E: -2.37 eV/atom
* magnetization: 6.00 μB per formula unit
* MP2020-corrected energy: -2.62 eV/atom

Quantum ESPRESSO input file:
```
&SYSTEM
  ibrav = 0, nat = 5, ntyp = 3
/
ATOMIC_SPECIES
Hg 200.59 Hg.upf
N 14.01 N.upf
Cl 35.45 Cl.upf
CELL_PARAMETERS angstrom
3.786 -4.793 0.000
3.786 4.793 0.000
0.000 0.000 3.811
ATOMIC_POSITIONS crystal
Hg 0.000 0.000 0.000
N 0.279 0.721 0.000
N 0.721 0.279 0.000
Cl 0.236 0.236 0.500
Cl 0.764 0.764 0.500
```

***

## CuRh2S4 (GGA-PBE)

Data for a relaxed CuRh2S4 crystal. Values from VASP.

Results
* E: -5.48 eV/atom
* MP2020-corrected energy: -5.77 eV/atom

Quantum ESPRESSO input file:
```
&SYSTEM
  ibrav = 0, nat = 14, ntyp = 3
/
ATOMIC_SPECIES
Cu 63.55 Cu.upf
Rh 102.91 Rh.upf
S 32.06 S.upf
CELL_PARAMETERS angstrom
0.000 4.941 4.941
4.941 0.000 4.941
4.941 4.941 0.000
ATOMIC_POSITIONS crystal
Cu 0.125 0.125 0.125
Cu 0.875 0.875 0.875
Rh 0.000 0.500 0.500
Rh 0.500 0.000 0.500
Rh 0.500 0.500 0.000
Rh 0.500 0.500 0.500
S 0.259 0.259 0.259
S 0.259 0.259 0.722
S 0.259 0.722 0.259
S 0.278 0.741 0.741
S 0.722 0.259 0.259
S 0.741 0.278 0.741
S 0.741 0.741 0.278
S 0.741 0.741 0.741
```

***

## SmCdPd (GGA-PBE)

Data for a relaxed SmCdPd crystal. Values from VASP.

Results
* E: -4.28 eV/atom

Quantum ESPRESSO input file:
```
&SYSTEM
  ibrav = 0, nat = 9, ntyp = 3
/
ATOMIC_SPECIES
Sm 150.36 Sm.upf
Cd 112.41 Cd.upf
Pd 106.42 Pd.upf
CELL_PARAMETERS angstrom
7.738 0.000 0.000
-3.869 6.701 0.000
0.000 0.000 3.966
ATOMIC_POSITIONS crystal
Sm 0.000 0.594 0.000
Sm 0.406 0.406 0.000
Sm 0.594 0.000 0.000
Cd 0.000 0.255 0.500
Cd 0.255 0.000 0.500
Cd 0.745 0.745 0.500
Pd 0.000 0.000 0.000
Pd 0.333 0.667 0.500
Pd 0.667 0.333 0.500
```

***

## MoWS4 (GGA-PBE)

Data for a relaxed MoWS4 crystal. Values from VASP.

Results
* E: -7.57 eV/atom
* MP2020-corrected energy: -7.90 eV/atom

Quantum ESPRESSO input file:
```
&SYSTEM
  ibrav = 0, nat = 12, ntyp = 3
/
ATOMIC_SPECIES
Mo 95.94 Mo.upf
W 183.84 W.upf
S 32.06 S.upf
CELL_PARAMETERS angstrom
3.192 0.000 0.000
-1.596 2.764 0.000
0.000 0.000 35.847
ATOMIC_POSITIONS crystal
Mo 0.000 0.000 0.000
Mo 0.333 0.667 0.188
W 0.000 0.000 0.376
W 0.333 0.667 0.564
S 0.000 0.000 0.144
S 0.000 0.000 0.232
S 0.000 0.000 0.520
S 0.000 0.000 0.608
S 0.333 0.667 0.044
S 0.333 0.667 0.332
S 0.333 0.667 0.420
S 0.333 0.667 0.956
```

***

## Ba2TbCeO6 (GGA-PBE)

Data for a relaxed Ba2TbCeO6 crystal. Values from VASP.

Results
* E: -7.33 eV/atom
* energy above the lowest structure with this stoichiometry: 0.251 eV per formula unit
* magnetization: 1.00 μB per formula unit
* MP2020-corrected energy: -7.74 eV/atom

Quantum ESPRESSO input file:
```
&SYSTEM
  ibrav = 0, nat = 10, ntyp = 4
/
ATOMIC_SPECIES
Ba 137.33 Ba.upf
Tb 158.93 Tb.upf
Ce 140.12 Ce.upf
O 16.00 O.upf
CELL_PARAMETERS angstrom
0.000 4.446 4.446
4.446 0.000 4.446
4.446 4.446 0.000
ATOMIC_POSITIONS crystal
Ba 0.250 0.250 0.250
Ba 0.750 0.750 0.750
Tb 0.000 0.000 0.000
Ce 0.500 0.500 0.500
O 0.252 0.252 0.748
O 0.252 0.748 0.252
O 0.252 0.748 0.748
O 0.748 0.252 0.252
O 0.748 0.252 0.748
O 0.748 0.748 0.252
```

***

## AlSbO3 (GGA-PBE)

Data for a relaxed AlSbO3 crystal. Values from VASP.

Results
* E: -6.40 eV/atom
* magnetization: 0.00 μB per formula unit
* MP2020-corrected energy: -6.81 eV/atom

Quantum ESPRESSO input file:
```
&SYSTEM
  ibrav = 0, nat = 5, ntyp = 3
/
ATOMIC_SPECIES
Al 26.98 Al.upf
Sb 121.76 Sb.upf
O 16.00 O.upf
CELL_PARAMETERS angstrom
3.754 0.000 0.000
0.000 3.754 0.000
0.000 0.000 3.754
ATOMIC_POSITIONS crystal
Al 0.000 0.000 0.000
Sb 0.500 0.500 0.500
O 0.000 0.000 0.500
O 0.000 0.500 0.000
O 0.500 0.000 0.000
```

***

## LiMnIr2 (GGA-PBE)

Data for a relaxed LiMnIr2 crystal. Values from VASP.

Results
* E: -7.38 eV/atom
* magnetization: 2.07 μB per formula unit

Quantum ESPRESSO input file:
```
&SYSTEM
  ibrav = 0, nat = 4, ntyp = 3
/
ATOMIC_SPECIES
Li 6.94 Li.upf
Mn 54.94 Mn.upf
Ir 192.22 Ir.upf
CELL_PARAMETERS angstrom
0.000 2.945 2.945
2.945 0.000 2.945
2.945 2.945 0.000
ATOMIC_POSITIONS crystal
Li 0.000 0.000 0.000
Mn 0.500 0.500 0.500
Ir 0.250 0.250 0.250
Ir 0.750 0.750 0.750
```